[1]
# Li6Bi2O7

A relaxed structure of Li6Bi2O7 (meta-GGA r2SCAN, Materials Project).

## Properties
The calculation puts the formation enthalpy at 0 K at -2504 kJ/mol of formula units. The value obtained for the spin magnetization is 0.0 Bohr magnetons per cell.

Cell: 5.5321 6.2083 10.7303 Å, 90.00 109.40 90.00°
Atoms (fractional coordinates):
Li (0.1504, 0.0094, 0.1182)
Li (0.1504, 0.4906, 0.6182)
Li (0.1898, 0.2134, 0.3502)
Li (0.1898, 0.2866, 0.8502)
Li (0.2231, 0.7418, 0.8647)
Li (0.2231, 0.7582, 0.3647)
Li (0.7769, 0.2418, 0.6353)
Li (0.7769, 0.2582, 0.1353)
Li (0.8102, 0.7134, 0.1498)
Li (0.8102, 0.7866, 0.6498)
Li (0.8496, 0.5094, 0.3818)
Li (0.8496, 0.9906, 0.8818)
Bi (0.2719, 0.0135, 0.6337)
Bi (0.2719, 0.4865, 0.1337)
Bi (0.7281, 0.5135, 0.8663)
Bi (0.7281, 0.9865, 0.3663)
O (0.0235, 0.7483, 0.0076)
O (0.0235, 0.7517, 0.5076)
O (0.0271, 0.0195, 0.7540)
O (0.0271, 0.4805, 0.2540)
O (0.4623, 0.1842, 0.2156)
O (0.4623, 0.3158, 0.7156)
O (0.5000, 0.0000, 0.5000)
O (0.5000, 0.5000, 0.0000)
O (0.5377, 0.6842, 0.2844)
O (0.5377, 0.8158, 0.7844)
O (0.9729, 0.5195, 0.7460)
O (0.9729, 0.9805, 0.2460)
O (0.9765, 0.2483, 0.4924)
O (0.9765, 0.2517, 0.9924)

***

[2]
# Rb3TlCl6

A relaxed structure of Rb3TlCl6 (meta-GGA r2SCAN, Materials Project).

## Properties
The calculation puts the formation enthalpy at 0 K at -1621 kJ/mol of formula units. The value obtained for the spin magnetization is 0.0 Bohr magnetons per cell.

Cell: 13.3146 7.9619 12.6113 Å, 90.00 107.91 90.00°
Atoms (fractional coordinates):
Rb (0.0953, 0.0472, 0.3581)
Rb (0.0953, 0.4528, 0.8581)
Rb (0.3157, 0.5643, 0.2626)
Rb (0.3157, 0.9357, 0.7626)
Rb (0.3191, 0.0685, 0.1158)
Rb (0.3191, 0.4315, 0.6158)
Rb (0.6809, 0.5685, 0.3842)
Rb (0.6809, 0.9315, 0.8842)
Rb (0.6843, 0.0643, 0.2374)
Rb (0.6843, 0.4357, 0.7374)
Rb (0.9047, 0.5472, 0.1419)
Rb (0.9047, 0.9528, 0.6419)
Tl (0.0000, 0.0000, 0.0000)
Tl (0.0000, 0.5000, 0.5000)
Tl (0.5000, 0.0000, 0.5000)
Tl (0.5000, 0.5000, 0.0000)
Cl (0.0989, 0.2253, 0.6041)
Cl (0.0989, 0.2747, 0.1041)
Cl (0.1213, 0.9995, 0.8768)
Cl (0.1213, 0.5005, 0.3768)
Cl (0.1286, 0.6871, 0.6496)
Cl (0.1286, 0.8129, 0.1496)
Cl (0.3483, 0.6995, 0.0065)
Cl (0.3483, 0.8005, 0.5065)
Cl (0.3499, 0.2084, 0.3938)
Cl (0.3499, 0.2916, 0.8938)
Cl (0.4989, 0.6386, 0.8097)
Cl (0.4989, 0.8614, 0.3097)
Cl (0.5011, 0.1386, 0.6903)
Cl (0.5011, 0.3614, 0.1903)
Cl (0.6501, 0.7084, 0.1062)
Cl (0.6501, 0.7916, 0.6062)
Cl (0.6517, 0.1995, 0.4935)
Cl (0.6517, 0.3005, 0.9935)
Cl (0.8714, 0.1871, 0.8504)
Cl (0.8714, 0.3129, 0.3504)
Cl (0.8787, 0.0005, 0.1232)
Cl (0.8787, 0.4995, 0.6232)
Cl (0.9011, 0.7253, 0.8959)
Cl (0.9011, 0.7747, 0.3959)

***

[3]
# LaCoN3

A relaxed structure of LaCoN3 (meta-GGA r2SCAN, Materials Project).

## Properties
The calculation puts the formation enthalpy at 0 K at -309 kJ/mol of formula units. The value obtained for the spin magnetization is 0.0 Bohr magnetons per cell.

Cell: 5.7274 5.7274 7.4474 Å, 102.44 102.44 41.30°
Atoms (fractional coordinates):
La (0.1643, 0.1643, 0.2997)
La (0.8357, 0.8357, 0.7003)
Co (0.4586, 0.4586, 0.3454)
Co (0.5414, 0.5414, 0.6546)
N (0.3505, 0.3505, 0.9594)
N (0.3666, 0.3666, 0.5261)
N (0.3941, 0.3941, 0.1198)
N (0.6059, 0.6059, 0.8802)
N (0.6334, 0.6334, 0.4739)
N (0.6495, 0.6495, 0.0406)

***

[4]
# LaHoS3

A relaxed structure of LaHoS3 (meta-GGA r2SCAN, Materials Project).

## Properties
The calculation puts the formation enthalpy at 0 K at -1188 kJ/mol of formula units. The value obtained for the spin magnetization is 0.0 Bohr magnetons per cell.

Cell: 11.1012 4.0106 21.6760 Å, 90.00 101.31 90.00°
Atoms (fractional coordinates):
La (0.0917, 0.2500, 0.3646)
La (0.2000, 0.2500, 0.0364)
La (0.3017, 0.7500, 0.7339)
La (0.3095, 0.2500, 0.2333)
La (0.6905, 0.7500, 0.7667)
La (0.6983, 0.2500, 0.2661)
La (0.8000, 0.7500, 0.9636)
La (0.9083, 0.7500, 0.6354)
Ho (0.0292, 0.2500, 0.8501)
Ho (0.1805, 0.2500, 0.5466)
Ho (0.4471, 0.2500, 0.9166)
Ho (0.4776, 0.7500, 0.4128)
Ho (0.5224, 0.2500, 0.5872)
Ho (0.5529, 0.7500, 0.0834)
Ho (0.8195, 0.7500, 0.4534)
Ho (0.9708, 0.7500, 0.1499)
S (0.0366, 0.2500, 0.2295)
S (0.0576, 0.7500, 0.9432)
S (0.0868, 0.7500, 0.4646)
S (0.1246, 0.2500, 0.6628)
S (0.2049, 0.7500, 0.1349)
S (0.2526, 0.7500, 0.3272)
S (0.2542, 0.2500, 0.8246)
S (0.3423, 0.7500, 0.5981)
S (0.3570, 0.7500, 0.9863)
S (0.3651, 0.2500, 0.4644)
S (0.4543, 0.2500, 0.1341)
S (0.4929, 0.2500, 0.7201)
S (0.5071, 0.7500, 0.2799)
S (0.5457, 0.7500, 0.8659)
S (0.6349, 0.7500, 0.5356)
S (0.6430, 0.2500, 0.0137)
S (0.6577, 0.2500, 0.4019)
S (0.7458, 0.7500, 0.1754)
S (0.7474, 0.2500, 0.6728)
S (0.7951, 0.2500, 0.8650)
S (0.8754, 0.7500, 0.3372)
S (0.9132, 0.2500, 0.5354)
S (0.9424, 0.2500, 0.0568)
S (0.9634, 0.7500, 0.7705)

***

[5]
# P3BrCl14

A relaxed structure of P3BrCl14 (meta-GGA r2SCAN, Materials Project).

## Properties
The calculation puts the formation enthalpy at 0 K at -1113 kJ/mol of formula units. The value obtained for the spin magnetization is 0.0 Bohr magnetons per cell.

Cell: 8.7541 8.7541 8.7541 Å, 119.10 119.10 91.56°
Atoms (fractional coordinates):
P (0.0000, 0.0000, 0.0000)
P (0.2498, 0.7498, 0.5000)
P (0.7498, 0.2498, 0.5000)
Br (0.4994, 0.4994, 0.0000)
Cl (0.0166, 0.3845, 0.7174)
Cl (0.1089, 0.2177, 0.3268)
Cl (0.1755, 0.1755, 0.0000)
Cl (0.2177, 0.8910, 0.1088)
Cl (0.2991, 0.0166, 0.6321)
Cl (0.3325, 0.7006, 0.7174)
Cl (0.3845, 0.6671, 0.3679)
Cl (0.6151, 0.3325, 0.6320)
Cl (0.6671, 0.2991, 0.2826)
Cl (0.7006, 0.9832, 0.3680)
Cl (0.7821, 0.1089, 0.8912)
Cl (0.8244, 0.8244, 0.0000)
Cl (0.8910, 0.7821, 0.6732)
Cl (0.9832, 0.6151, 0.2826)

***

[6]
# CoBMo

A relaxed structure of CoBMo (meta-GGA r2SCAN, Materials Project).

## Properties
The calculation puts the formation enthalpy at 0 K at -111 kJ/mol of formula units. The value obtained for the spin magnetization is 0.0 Bohr magnetons per cell.

Cell: 5.7093 3.2234 6.5681 Å, 90.00 90.00 90.00°
Atoms (fractional coordinates):
Co (0.1430, 0.2500, 0.0578)
Co (0.3570, 0.7500, 0.5578)
Co (0.6430, 0.2500, 0.4422)
Co (0.8570, 0.7500, 0.9422)
B (0.2270, 0.7500, 0.8755)
B (0.2730, 0.2500, 0.3755)
B (0.7270, 0.7500, 0.6245)
B (0.7730, 0.2500, 0.1245)
Mo (0.0270, 0.2500, 0.6741)
Mo (0.4730, 0.7500, 0.1741)
Mo (0.5270, 0.2500, 0.8259)
Mo (0.9730, 0.7500, 0.3259)